Record 1
The following is a PBE calculation of an optimized crystal structure of Ce3Mg, from the Materials Project.

Summary:
Crystal system: hexagonal
SG: P6_3/mmc

Cell: 6.9029 6.9029 5.3598 Å, 90.00 90.00 120.00°
Positions (direct):
Ce1 0.6646 0.8323 0.7500
Ce2 0.1677 0.3354 0.7500
Ce3 0.1677 0.8323 0.7500
Ce4 0.8323 0.6646 0.2500
Ce5 0.8323 0.1677 0.2500
Ce6 0.3354 0.1677 0.2500
Mg1 0.6667 0.3333 0.7500
Mg2 0.3333 0.6667 0.2500

***

Record 2
The following is a PBE calculation of an optimized crystal structure of Ce2Mg, from the Materials Project.

Summary:
Crystal system: monoclinic
Polymorph energy (0 for the lowest one): 28 meV/atom
SG: C2/c

Cell: 5.7128 5.7128 6.1542 Å, 65.17 65.17 65.96°
Positions (direct):
Ce1 0.2610 0.4452 0.7671
Ce2 0.5548 0.7390 0.7329
Ce3 0.4452 0.2610 0.2671
Ce4 0.7390 0.5548 0.2329
Mg1 0.0937 0.9063 0.2500
Mg2 0.9063 0.0937 0.7500

***

Record 3
The following is a PBE calculation of an optimized crystal structure of CeMg, from the Materials Project.

Summary:
Crystal system: cubic
SG: Pm-3m

Cell: 3.8387 3.8387 3.8387 Å, 90.00 90.00 90.00°
Positions (direct):
Ce1 0.5000 0.5000 0.5000
Mg1 0.0000 0.0000 0.0000

***

Record 4
The following is a PBE calculation of an optimized crystal structure of Ce2Mg17, from the Materials Project.

Summary:
Crystal system: hexagonal
SG: P6_3/mmc

Cell: 10.3190 10.3190 10.1565 Å, 90.00 90.00 120.00°
Positions (direct):
Ce1 0.0000 0.0000 0.2500
Ce2 0.0000 0.0000 0.7500
Ce3 0.6667 0.3333 0.2500
Ce4 0.3333 0.6667 0.7500
Mg1 0.5000 0.0000 0.5000
Mg2 0.5000 0.5000 0.5000
Mg3 0.8348 0.1652 0.4979
Mg4 0.3305 0.1652 0.0021
Mg5 0.1652 0.3305 0.5021
Mg6 0.6671 0.6622 0.7500
Mg7 0.6667 0.3333 0.8947
Mg8 0.3333 0.6667 0.3947
Mg9 0.6695 0.8348 0.9979
Mg10 0.3378 0.3329 0.7500
Mg11 0.0049 0.3378 0.2500
Mg12 0.8348 0.1652 0.0021
Mg13 0.6622 0.9951 0.2500
Mg14 0.9951 0.6622 0.7500
Mg15 0.3305 0.1652 0.4979
Mg16 0.8348 0.6695 0.4979
Mg17 0.1652 0.3305 0.9979
Mg18 0.8348 0.6695 0.0021
Mg19 0.6667 0.3333 0.6053
Mg20 0.6695 0.8348 0.5021
Mg21 0.0000 0.5000 0.0000
Mg22 0.3329 0.9951 0.2500
Mg23 0.3329 0.3378 0.2500
Mg24 0.3333 0.6667 0.1053
Mg25 0.1652 0.8348 0.5021
Mg26 0.0049 0.6671 0.2500
Mg27 0.6671 0.0049 0.7500
Mg28 0.1652 0.8348 0.9979
Mg29 0.6622 0.6671 0.2500
Mg30 0.5000 0.5000 0.0000
Mg31 0.9951 0.3329 0.7500
Mg32 0.3378 0.0049 0.7500
Mg33 0.0000 0.5000 0.5000
Mg34 0.5000 0.0000 0.0000

***

Record 5
The following is a PBE calculation of an optimized crystal structure of Ce2Mg, from the Materials Project.

Summary:
Crystal system: orthorhombic
Polymorph energy (0 for the lowest one): 52 meV/atom
SG: Cmcm

Cell: 9.5935 9.5935 5.1751 Å, 90.00 90.00 161.32°
Positions (direct):
Ce1 0.6034 0.3966 0.2500
Ce2 0.9294 0.0706 0.2500
Ce3 0.0706 0.9294 0.7500
Ce4 0.3966 0.6034 0.7500
Mg1 0.2710 0.7290 0.2500
Mg2 0.7290 0.2710 0.7500

***

Record 6
The following is a PBE calculation of an optimized crystal structure of CeMg5, from the Materials Project.

Summary:
Crystal system: hexagonal
SG: P-6m2

Cell: 3.1818 3.1818 16.1368 Å, 90.00 90.00 120.00°
Positions (direct):
Ce1 0.6667 0.3333 0.0000
Mg1 0.0000 0.0000 0.8212
Mg2 0.6667 0.3333 0.6618
Mg3 0.0000 0.0000 0.5000
Mg4 0.6667 0.3333 0.3382
Mg5 0.0000 0.0000 0.1788

***

Record 7
The following is a PBE calculation of an optimized crystal structure of CeMg5, from the Materials Project.

Summary:
Crystal system: hexagonal
SG: P-62m

Cell: 5.7984 5.7984 5.3523 Å, 90.00 90.00 120.00°
Positions (direct):
Ce1 0.0000 0.0000 0.5000
Mg1 0.6476 0.0000 0.0000
Mg2 0.3524 0.3524 0.0000
Mg3 0.0000 0.6476 0.0000
Mg4 0.6667 0.3333 0.5000
Mg5 0.3333 0.6667 0.5000

***

Record 8
The following is a PBE calculation of an optimized crystal structure of CeMg, from the Materials Project.

Cell: 5.3308 9.7732 6.0758 Å, 90.00 90.00 90.00°
Positions (direct):
Ce1 0.0000 0.3617 0.6672
Ce2 0.0000 0.1383 0.1672
Ce3 0.5000 0.0000 0.3392
Ce4 0.0000 0.8617 0.1672
Ce5 0.0000 0.6383 0.6672
Ce6 0.5000 0.5000 0.8392
Mg1 0.0000 0.0000 0.6699
Mg2 0.5000 0.1604 0.8282
Mg3 0.5000 0.3396 0.3282
Mg4 0.0000 0.5000 0.1699
Mg5 0.5000 0.6604 0.3282
Mg6 0.5000 0.8396 0.8282

***

Record 9
The following is a PBE calculation of an optimized crystal structure of CeMg, from the Materials Project.

Summary:
Crystal system: monoclinic
SG: C2

Cell: 5.9217 5.9217 6.6474 Å, 60.79 60.79 59.57°
Positions (direct):
Ce1 0.3356 0.6644 0.0000
Ce2 0.1673 0.1646 0.5044
Ce3 0.8354 0.8327 0.4956
Mg1 0.6595 0.0009 0.9983
Mg2 0.9991 0.3405 0.0017
Mg3 0.5031 0.4969 0.5000

***

Record 10
The following is a PBE calculation of an optimized crystal structure of Ce2Mg, from the Materials Project.

Summary:
Polymorph energy (0 for the lowest one): 67 meV/atom

Cell: 3.2391 17.7405 5.6648 Å, 90.00 90.00 90.00°
Positions (direct):
Ce1 0.0000 0.5655 0.2500
Ce2 0.5000 0.7226 0.2500
Ce3 0.0000 0.7774 0.7500
Ce4 0.5000 0.9345 0.7500
Ce5 0.5000 0.0655 0.2500
Ce6 0.0000 0.2226 0.2500
Ce7 0.5000 0.2774 0.7500
Ce8 0.0000 0.4345 0.7500
Mg1 0.0000 0.8874 0.2500
Mg2 0.5000 0.6126 0.7500
Mg3 0.5000 0.3874 0.2500
Mg4 0.0000 0.1126 0.7500

***

Record 11
The following is a PBE calculation of an optimized crystal structure of Ce2Mg, from the Materials Project.

Summary:
Crystal system: hexagonal
Polymorph energy (0 for the lowest one): 58 meV/atom
SG: P6_3/mmc

Cell: 3.1227 3.1227 18.2401 Å, 90.00 90.00 120.00°
Positions (direct):
Ce1 0.3333 0.6667 0.9143
Ce2 0.3333 0.6667 0.5857
Ce3 0.6667 0.3333 0.4143
Ce4 0.6667 0.3333 0.0857
Mg1 0.6667 0.3333 0.7500
Mg2 0.3333 0.6667 0.2500

***

Record 12
The following is a PBE calculation of an optimized crystal structure of Ce2Mg, from the Materials Project.

Summary:
Crystal system: monoclinic
Polymorph energy (0 for the lowest one): 48 meV/atom
SG: Cm

Cell: 6.5543 6.5543 8.0614 Å, 73.07 73.07 28.33°
Positions (direct):
Ce1 0.9798 0.9798 0.0216
Ce2 0.3176 0.3176 0.3482
Ce3 0.6846 0.6846 0.6722
Ce4 0.2843 0.2843 0.9208
Mg1 0.6030 0.6030 0.2782
Mg2 0.9640 0.9640 0.5923

***

Record 13
The following is a PBE calculation of an optimized crystal structure of CeMg5, from the Materials Project.

Cell: 5.2458 3.0921 17.9584 Å, 90.00 90.00 90.00°
Positions (direct):
Ce1 0.5000 0.5000 0.7251
Ce2 0.5000 0.0000 0.2251
Mg1 0.0000 0.0000 0.9997
Mg2 0.0000 0.0000 0.6552
Mg3 0.0000 0.5000 0.8365
Mg4 0.5000 0.0000 0.5544
Mg5 0.5000 0.0000 0.8959
Mg6 0.0000 0.5000 0.4997
Mg7 0.0000 0.5000 0.1552
Mg8 0.0000 0.0000 0.3365
Mg9 0.5000 0.5000 0.0544
Mg10 0.5000 0.5000 0.3959

***

Record 14
The following is a PBE calculation of an optimized crystal structure of CeMg, from the Materials Project.

Summary:
Crystal system: cubic
SG: Fm-3m

Cell: 4.5361 4.5361 4.5361 Å, 60.00 60.00 60.00°
Positions (direct):
Ce1 0.0000 0.0000 0.0000
Mg1 0.5000 0.5000 0.5000

***

Record 15
The following is a PBE calculation of an optimized crystal structure of CeMg, from the Materials Project.

Summary:
Crystal system: trigonal
SG: P-3m1

Cell: 3.1499 3.1499 11.6088 Å, 90.00 90.00 120.00°
Positions (direct):
Ce1 0.3333 0.6667 0.1341
Ce2 0.6667 0.3333 0.8659
Mg1 0.6667 0.3333 0.3857
Mg2 0.3333 0.6667 0.6143

***

Record 16
The following is a PBE calculation of an optimized crystal structure of Ce2Mg, from the Materials Project.

Summary:
Crystal system: monoclinic
Polymorph energy (0 for the lowest one): 8 meV/atom
SG: C2/m

Cell: 5.5847 5.5847 9.6559 Å, 68.65 68.65 33.87°
Positions (direct):
Ce1 0.3134 0.3134 0.1106
Ce2 0.0192 0.0192 0.2216
Ce3 0.9808 0.9808 0.7784
Ce4 0.6866 0.6866 0.8894
Mg1 0.6583 0.6583 0.4416
Mg2 0.3417 0.3417 0.5584

***

Record 17
The following is a PBE calculation of an optimized crystal structure of Ce3Mg, from the Materials Project.

Summary:
Crystal system: tetragonal
SG: I4/mmm

Cell: 5.9094 5.9094 5.9094 Å, 132.59 132.59 69.30°
Positions (direct):
Ce1 0.5000 0.5000 0.0000
Ce2 0.2500 0.7500 0.5000
Ce3 0.7500 0.2500 0.5000
Mg1 0.0000 0.0000 0.0000

***

Record 18
The following is a PBE calculation of an optimized crystal structure of CeMg5, from the Materials Project.

Summary:
Crystal system: monoclinic
SG: Cm

Cell: 6.6311 6.6311 7.7207 Å, 75.88 75.88 27.35°
Positions (direct):
Ce1 0.6125 0.6125 0.2741
Mg1 0.9944 0.9944 0.9946
Mg2 0.3375 0.3375 0.3364
Mg3 0.9396 0.9396 0.6203
Mg4 0.6664 0.6664 0.6719
Mg5 0.2830 0.2830 0.9359

***

Record 19
The following is a PBE calculation of an optimized crystal structure of Ce5Mg41, from the Materials Project.

Summary:
Crystal system: tetragonal
SG: I4/m

Cell: 10.4291 11.7129 11.7129 Å, 78.57 63.56 63.56°
Positions (direct):
Ce1 0.4286 0.8085 0.3344
Ce2 0.5714 0.1915 0.6656
Ce3 0.7630 0.6656 0.8085
Ce4 0.2370 0.3344 0.1915
Ce5 0.0000 0.0000 0.0000
Mg1 0.8781 0.3435 0.9004
Mg2 0.3744 0.2913 0.4438
Mg3 0.5000 0.0000 0.0000
Mg4 0.4461 0.9406 0.7874
Mg5 0.6256 0.7087 0.5562
Mg6 0.1818 0.4438 0.7087
Mg7 0.1741 0.0594 0.2126
Mg8 0.6657 0.4438 0.7087
Mg9 0.0804 0.7120 0.8338
Mg10 0.0858 0.8338 0.2880
Mg11 0.9142 0.1662 0.7120
Mg12 0.2170 0.1238 0.4422
Mg13 0.0096 0.3937 0.5870
Mg14 0.2216 0.9004 0.6565
Mg15 0.7830 0.8762 0.5578
Mg16 0.5967 0.4130 0.3937
Mg17 0.4033 0.5870 0.6063
Mg18 0.2076 0.1662 0.7120
Mg19 0.6261 0.2880 0.1662
Mg20 0.7665 0.7874 0.0594
Mg21 0.1095 0.7087 0.5562
Mg22 0.3739 0.7120 0.8338
Mg23 0.7924 0.8338 0.2880
Mg24 0.7784 0.0996 0.3435
Mg25 0.0000 0.0000 0.5000
Mg26 0.8259 0.9406 0.7874
Mg27 0.9196 0.2880 0.1662
Mg28 0.9904 0.6063 0.4130
Mg29 0.0000 0.5000 0.0000
Mg30 0.3408 0.4422 0.8762
Mg31 0.6133 0.2126 0.9406
Mg32 0.8182 0.5562 0.2913
Mg33 0.8905 0.2913 0.4438
Mg34 0.1219 0.6565 0.0996
Mg35 0.2335 0.2126 0.9406
Mg36 0.3343 0.5562 0.2913
Mg37 0.5000 0.5000 0.0000
Mg38 0.3867 0.7874 0.0594
Mg39 0.5539 0.0594 0.2126
Mg40 0.5000 0.0000 0.5000
Mg41 0.6592 0.5578 0.1238

***

Record 20
The following is a PBE calculation of an optimized crystal structure of CeMg, from the Materials Project.

Cell: 5.7519 3.1747 17.2487 Å, 90.00 90.00 90.00°
Positions (direct):
Ce1 0.0000 0.5000 0.4930
Ce2 0.0000 0.5000 0.8484
Ce3 0.5000 0.5000 0.7171
Ce4 0.0000 0.0000 0.9930
Ce5 0.0000 0.0000 0.3484
Ce6 0.5000 0.0000 0.2172
Mg1 0.0000 0.0000 0.6658
Mg2 0.5000 0.0000 0.5485
Mg3 0.5000 0.0000 0.8939
Mg4 0.0000 0.5000 0.1658
Mg5 0.5000 0.5000 0.0485
Mg6 0.5000 0.5000 0.3939

***

| no. | calculated total energy (eV per atom) | E_form (eV per formula unit) |
| --- | --- | --- |
| 1 | -4.7202 | 0.52 |
| 2 | -4.4491 | 0.12 |
| 3 | -3.6797 | 0.17 |
| 4 | -2.0345 | 0.42 |
| 5 | -4.4247 | 0.19 |
| 6 | -2.3379 | -0.09 |
| 7 | -2.2720 | 0.30 |
| 8 | -3.6635 | 0.21 |
| 9 | -3.6632 | 0.21 |
| 10 | -4.4100 | 0.24 |
| 11 | -4.4184 | 0.21 |
| 12 | -4.4291 | 0.18 |
| 13 | -2.2727 | 0.30 |
| 14 | -3.1239 | 1.29 |
| 15 | -3.7256 | 0.08 |
| 16 | -4.4683 | 0.06 |
| 17 | -4.7659 | 0.34 |
| 18 | -2.2680 | 0.33 |
| 19 | -2.0725 | -0.06 |
| 20 | -3.6997 | 0.13 |